(1)
First-principles (GGA-PBE) data for a relaxed structure of Na42Ca8Nb16Si33S3O144, as listed in the Materials Project database.

CIF file:
```
data_Na42Ca8Nb16Si33S3O144
_space_group_name_H-M_alt 'P 1'
_space_group_IT_number 1
_cell_length_a 9.2506
_cell_length_b 16.0230
_cell_length_c 22.6065
_cell_angle_alpha 90.32
_cell_angle_beta 90.13
_cell_angle_gamma 90.03
loop_
_space_group_symop_operation_xyz
'x,y,z'
loop_
_atom_site_label
_atom_site_fract_x
_atom_site_fract_y
_atom_site_fract_z
_atom_site_occupancy
Na1 0.0000 0.0000 0.0000 1
Na2 0.9998 0.6784 0.6606 1
Na3 0.0188 0.0322 0.6606 1
Na4 0.0342 0.7062 0.3341 1
Na5 0.0363 0.3670 0.0004 1
Na6 0.1284 0.8682 0.5000 1
Na7 0.1321 0.2060 0.8354 1
Na8 0.1514 0.5346 0.1614 1
Na9 0.1574 0.8322 0.8370 1
Na10 0.1659 0.1790 0.1603 1
Na11 0.1679 0.5060 0.5003 1
Na12 0.1903 0.8553 0.1596 1
Na13 0.2005 0.1936 0.5067 1
Na14 0.2124 0.5309 0.8349 1
Na15 0.3162 0.3567 0.9178 1
Na16 0.3319 0.0222 0.0769 1
Na17 0.3377 0.3555 0.4163 1
Na18 0.3382 0.6941 0.2516 1
Na19 0.3381 0.6957 0.7509 1
Na20 0.3440 0.0257 0.5830 1
Na21 0.4523 0.5305 0.3353 1
Na22 0.4572 0.1923 0.0032 1
Na23 0.4958 0.5071 0.0020 1
Na24 0.5164 0.5296 0.6598 1
Na25 0.5321 0.8678 0.9999 1
Na26 0.5330 0.2079 0.3350 1
Na27 0.6284 0.3673 0.4998 1
Na28 0.6297 0.7090 0.8356 1
Na29 0.6477 0.0309 0.1599 1
Na30 0.6536 0.3322 0.8278 1
Na31 0.6568 0.6760 0.1603 1
Na32 0.6677 0.0074 0.5009 1
Na33 0.7020 0.6930 0.5052 1
Na34 0.7072 0.0313 0.8362 1
Na35 0.8276 0.5194 0.0818 1
Na36 0.8299 0.1937 0.7489 1
Na37 0.8338 0.2014 0.2532 1
Na38 0.8336 0.8559 0.9235 1
Na39 0.8372 0.5173 0.5794 1
Na40 0.8389 0.8566 0.4169 1
Na41 0.9524 0.0306 0.3357 1
Na42 0.9699 0.7025 0.0032 1
Ca1 0.3312 0.3563 0.0690 1
Ca2 0.3321 0.6894 0.8920 1
Ca3 0.3344 0.3544 0.5683 1
Ca4 0.3345 0.6928 0.3888 1
Ca5 0.8311 0.8559 0.0667 1
Ca6 0.8343 0.1889 0.8910 1
Ca7 0.8340 0.8562 0.5677 1
Ca8 0.8347 0.1927 0.3896 1
Nb1 0.3275 0.6817 0.6019 1
Nb2 0.3292 0.0289 0.4298 1
Nb3 0.3307 0.3571 0.2638 1
Nb4 0.3316 0.0223 0.9336 1
Nb5 0.3318 0.3534 0.7622 1
Nb6 0.3318 0.6878 0.0960 1
Nb7 0.3341 0.0226 0.2277 1
Nb8 0.3357 0.0239 0.7256 1
Nb9 0.8240 0.1810 0.6032 1
Nb10 0.8294 0.8561 0.2658 1
Nb11 0.8304 0.5198 0.2266 1
Nb12 0.8306 0.5278 0.4293 1
Nb13 0.8319 0.5202 0.7256 1
Nb14 0.8316 0.8563 0.7632 1
Nb15 0.8365 0.5298 0.9298 1
Nb16 0.8370 0.1826 0.1017 1
Si1 0.0311 0.3559 0.1609 1
Si2 0.0349 0.6875 0.4924 1
Si3 0.0436 0.0183 0.8268 1
Si4 0.1214 0.5168 0.3274 1
Si5 0.1296 0.1890 0.9926 1
Si6 0.1349 0.8557 0.6615 1
Si7 0.1782 0.5025 0.6608 1
Si8 0.1786 0.2053 0.6602 1
Si9 0.1805 0.5397 0.9917 1
Si10 0.1806 0.8802 0.3274 1
Si11 0.1871 0.8390 0.9925 1
Si12 0.1930 0.1735 0.3260 1
Si13 0.4673 0.1708 0.8292 1
Si14 0.4831 0.5061 0.1600 1
Si15 0.4842 0.5409 0.4921 1
Si16 0.4839 0.8816 0.8274 1
Si17 0.4855 0.2068 0.1624 1
Si18 0.5320 0.8559 0.1616 1
Si19 0.5361 0.1876 0.4922 1
Si20 0.5421 0.5176 0.8273 1
Si21 0.6224 0.0168 0.3287 1
Si22 0.6301 0.6860 0.9923 1
Si23 0.6331 0.3538 0.6609 1
Si24 0.6776 0.0028 0.6603 1
Si25 0.6795 0.3802 0.3281 1
Si26 0.6794 0.7060 0.6618 1
Si27 0.6798 0.0422 0.9923 1
Si28 0.6939 0.6718 0.3255 1
Si29 0.9713 0.6725 0.8249 1
Si30 0.9825 0.7055 0.1627 1
Si31 0.9832 0.0417 0.4926 1
Si32 0.9851 0.0037 0.1631 1
Si33 0.9848 0.3813 0.8283 1
S1 0.4713 0.8376 0.4972 1
S2 0.6920 0.3381 0.9956 1
S3 0.9725 0.3384 0.4969 1
O1 0.0008 0.8796 0.3231 1
O2 0.0091 0.5273 0.6728 1
O3 0.0097 0.5232 0.2719 1
O4 0.0110 0.1789 0.0514 1
O5 0.0134 0.8392 0.7166 1
O6 0.0137 0.5086 0.3873 1
O7 0.0180 0.8551 0.0009 1
O8 0.0223 0.1743 0.3241 1
O9 0.0394 0.2080 0.9343 1
O10 0.0522 0.8801 0.6024 1
O11 0.1099 0.3816 0.1013 1
O12 0.1270 0.7039 0.4346 1
O13 0.1293 0.3528 0.5018 1
O14 0.1425 0.6805 0.8229 1
O15 0.1507 0.0067 0.8865 1
O16 0.1525 0.0252 0.7710 1
O17 0.1528 0.6766 0.5517 1
O18 0.1553 0.3400 0.2144 1
O19 0.1563 0.0267 0.1740 1
O20 0.1614 0.7024 0.1569 1
O21 0.1626 0.3767 0.8226 1
O22 0.1678 0.0379 0.4911 1
O23 0.1925 0.4588 0.5985 1
O24 0.2083 0.7883 0.9328 1
O25 0.2147 0.0966 0.9915 1
O26 0.2202 0.5987 0.3258 1
O27 0.2205 0.6041 0.0506 1
O28 0.2218 0.9400 0.3869 1
O29 0.2235 0.2718 0.7165 1
O30 0.2229 0.4325 0.3211 1
O31 0.2253 0.7665 0.6555 1
O32 0.2386 0.1102 0.6736 1
O33 0.2394 0.9348 0.2713 1
O34 0.2392 0.9355 0.6755 1
O35 0.2400 0.5782 0.9321 1
O36 0.2411 0.7879 0.3237 1
O37 0.2433 0.2642 0.0001 1
O38 0.2444 0.2348 0.5997 1
O39 0.2473 0.4478 0.9985 1
O40 0.2479 0.1144 0.2712 1
O41 0.2618 0.7852 0.0511 1
O42 0.2628 0.4528 0.7160 1
O43 0.2647 0.1231 0.3862 1
O44 0.2652 0.5962 0.6581 1
O45 0.2803 0.9293 0.9917 1
O46 0.2813 0.2622 0.3231 1
O47 0.3834 0.2624 0.8231 1
O48 0.3955 0.9209 0.4950 1
O49 0.3972 0.5982 0.1572 1
O50 0.3982 0.1236 0.8889 1
O51 0.4003 0.4531 0.2148 1
O52 0.4023 0.2324 0.1036 1
O53 0.4098 0.7933 0.5495 1
O54 0.4141 0.7907 0.8252 1
O55 0.4163 0.9327 0.1745 1
O56 0.4163 0.9362 0.7738 1
O57 0.4166 0.4488 0.4975 1
O58 0.4207 0.1108 0.7743 1
O59 0.4223 0.2627 0.4995 1
O60 0.4251 0.5841 0.4340 1
O61 0.4264 0.1099 0.1744 1
O62 0.4386 0.7683 0.1568 1
O63 0.4412 0.6040 0.5522 1
O64 0.4426 0.5987 0.8242 1
O65 0.4440 0.2710 0.2184 1
O66 0.4463 0.0949 0.4910 1
O67 0.4474 0.4301 0.8228 1
O68 0.4473 0.7906 0.4430 1
O69 0.4484 0.9404 0.8877 1
O70 0.4740 0.4597 0.0982 1
O71 0.4983 0.0439 0.9928 1
O72 0.5001 0.3800 0.3227 1
O73 0.5016 0.6974 0.6562 1
O74 0.5089 0.0221 0.6743 1
O75 0.5111 0.0207 0.2723 1
O76 0.5129 0.6741 0.0506 1
O77 0.5142 0.0090 0.3879 1
O78 0.5149 0.3423 0.7178 1
O79 0.5232 0.6741 0.3248 1
O80 0.5352 0.3504 0.0015 1
O81 0.5440 0.6982 0.9324 1
O82 0.5517 0.3842 0.6029 1
O83 0.6122 0.8852 0.1033 1
O84 0.6250 0.2034 0.4334 1
O85 0.6283 0.8506 0.5028 1
O86 0.6384 0.1841 0.8275 1
O87 0.6527 0.5073 0.8865 1
O88 0.6541 0.5229 0.7718 1
O89 0.6546 0.5277 0.1731 1
O90 0.6553 0.8424 0.2159 1
O91 0.6575 0.1763 0.5496 1
O92 0.6634 0.1979 0.1555 1
O93 0.6630 0.8781 0.8211 1
O94 0.6679 0.5384 0.4920 1
O95 0.6917 0.9592 0.5979 1
O96 0.7152 0.2939 0.9395 1
O97 0.7192 0.0992 0.3254 1
O98 0.7195 0.4395 0.3883 1
O99 0.7209 0.5934 0.9910 1
O100 0.7220 0.7707 0.7180 1
O101 0.7238 0.9324 0.3230 1
O102 0.7259 0.1052 0.0519 1
O103 0.7301 0.2685 0.6544 1
O104 0.7399 0.6101 0.6740 1
O105 0.7396 0.7622 0.0004 1
O106 0.7408 0.2882 0.3253 1
O107 0.7405 0.4339 0.6758 1
O108 0.7417 0.0821 0.9336 1
O109 0.7421 0.4364 0.2738 1
O110 0.7421 0.9497 0.9990 1
O111 0.7474 0.6144 0.2705 1
O112 0.7548 0.2920 0.0464 1
O113 0.7615 0.7331 0.6034 1
O114 0.7645 0.9517 0.7150 1
O115 0.7659 0.6226 0.3862 1
O116 0.7676 0.0946 0.6586 1
O117 0.7678 0.4214 0.9947 1
O118 0.7817 0.7614 0.3230 1
O119 0.8864 0.7627 0.8232 1
O120 0.8962 0.4223 0.4941 1
O121 0.9004 0.7337 0.1044 1
O122 0.9007 0.0962 0.1570 1
O123 0.9012 0.9556 0.2182 1
O124 0.9019 0.6233 0.8859 1
O125 0.9077 0.2922 0.8258 1
O126 0.9106 0.2956 0.5491 1
O127 0.9170 0.9489 0.4974 1
O128 0.9192 0.6135 0.7707 1
O129 0.9205 0.7623 0.4994 1
O130 0.9213 0.4372 0.7741 1
O131 0.9240 0.4348 0.1750 1
O132 0.9248 0.0833 0.4337 1
O133 0.9253 0.6094 0.1740 1
O134 0.9397 0.2671 0.1553 1
O135 0.9414 0.0989 0.8254 1
O136 0.9429 0.1037 0.5525 1
O137 0.9463 0.5946 0.4914 1
O138 0.9462 0.7731 0.2184 1
O139 0.9466 0.4399 0.8886 1
O140 0.9471 0.9309 0.8213 1
O141 0.9482 0.2915 0.4427 1
O142 0.9824 0.9516 0.1036 1
O143 0.9969 0.5375 0.9912 1
O144 0.9993 0.1969 0.6576 1
```

Properties
Calculated density   3.02 g/cm³
Total moment   0.00 μB per formula unit
ΔE_f   -2.86 eV/atom
Crystal system   triclinic



(2)
First-principles (GGA-PBE) data for a relaxed structure of Na9Ca5NbSi3S6O36, as listed in the Materials Project database.

CIF file:
```
data_Na9Ca5NbSi3S6O36
_space_group_name_H-M_alt 'C 1 c 1'
_space_group_IT_number 9
_cell_length_a 16.2288
_cell_length_b 9.4125
_cell_length_c 23.6123
_cell_angle_alpha 90.00
_cell_angle_beta 90.49
_cell_angle_gamma 90.00
loop_
_space_group_symop_operation_xyz
'x,y,z'
'x,-y,z+1/2'
'x+1/2,y+1/2,z'
'x+1/2,-y+1/2,z+1/2'
loop_
_atom_site_label
_atom_site_fract_x
_atom_site_fract_y
_atom_site_fract_z
_atom_site_occupancy
Na1 0.9995 0.0223 0.2433 1
Na2 0.0000 0.3654 0.0000 1
Na3 0.0006 0.2923 0.3202 1
Na4 0.1602 0.1311 0.1648 1
Na5 0.1626 0.1645 0.8251 1
Na6 0.1800 0.4935 0.4150 1
Na7 0.3315 0.3540 0.3316 1
Na8 0.3451 0.0045 0.0724 1
Na9 0.3580 0.3017 0.6659 1
Ca1 0.1632 0.4961 0.5549 1
Ca2 0.3192 0.0091 0.9170 1
Ca3 0.3359 0.0039 0.7239 1
Ca4 0.4981 0.4908 0.8916 1
Ca5 0.4990 0.4946 0.0909 1
Nb1 0.1600 0.4915 0.2553 1
Si1 0.0140 0.3506 0.1502 1
Si2 0.1809 0.1521 0.3150 1
Si3 0.3278 0.3102 0.8157 1
S1 0.1488 0.1532 0.9898 1
S2 0.1646 0.2083 0.6583 1
S3 0.3080 0.3583 0.1585 1
S4 0.3491 0.3431 0.4891 1
S5 0.4884 0.1461 0.3222 1
S6 0.4974 0.1893 0.9864 1
O1 0.0036 0.1992 0.8293 1
O2 0.0150 0.1760 0.1615 1
O3 0.0592 0.3958 0.0926 1
O4 0.0732 0.4029 0.4873 1
O5 0.0734 0.4210 0.8121 1
O6 0.0771 0.4171 0.2050 1
O7 0.0882 0.0896 0.3256 1
O8 0.0890 0.1187 0.6571 1
O9 0.1014 0.1155 0.9374 1
O10 0.1044 0.1019 0.0409 1
O11 0.1537 0.3129 0.9899 1
O12 0.1608 0.3008 0.7108 1
O13 0.1642 0.3333 0.3042 1
O14 0.1733 0.2982 0.6081 1
O15 0.2165 0.0894 0.2565 1
O16 0.2323 0.0896 0.9896 1
O17 0.2384 0.1140 0.6614 1
O18 0.2413 0.4095 0.8026 1
O19 0.2469 0.1540 0.3670 1
O20 0.2602 0.3924 0.1076 1
O21 0.2614 0.4157 0.2103 1
O22 0.2643 0.4024 0.4907 1
O23 0.2977 0.2092 0.8676 1
O24 0.3163 0.2031 0.1635 1
O25 0.3485 0.1836 0.4888 1
O26 0.3541 0.2193 0.7603 1
O27 0.3888 0.4331 0.1597 1
O28 0.3895 0.3947 0.4365 1
O29 0.3975 0.3878 0.5403 1
O30 0.4012 0.4274 0.8268 1
O31 0.4211 0.0850 0.6537 1
O32 0.4241 0.0915 0.9873 1
O33 0.4350 0.1230 0.2728 1
O34 0.4565 0.0768 0.3737 1
O35 0.4946 0.2846 0.0361 1
O36 0.4989 0.2706 0.9325 1
```

Properties
Calculated density   2.49 g/cm³
Total moment   0.00 μB per formula unit
ΔE_f   -2.57 eV/atom
Crystal system   monoclinic